Entry 1:
MgNi4P4S4 | PBE | optimized geometry

Cell and atoms, written as extended XYZ:
```
13
Lattice="5.763 0.000 0.000 0.128 5.788 0.000 0.119 0.126 5.820" Properties=species:S:1:pos:R:3 pbc="T T T"
Mg 0.000 0.000 0.000
Ni 1.780 1.828 4.522
Ni 1.816 4.542 1.711
Ni 4.578 4.555 4.469
Ni 4.540 1.731 1.736
P 1.244 5.206 3.748
P 2.505 2.493 2.455
P 3.815 1.195 5.149
P 5.170 3.769 1.113
S 1.245 1.313 1.292
S 2.407 4.072 5.187
S 4.059 5.218 2.274
S 5.236 2.352 3.992
```

Calculated values
Symmetry ... P1, No. 1
Calculated formation energy ... -4.3 eV per formula unit
Total moment ... 0.00 μB per atom

=====

Entry 2:
Na2LuCuCl6 | PBE | optimized geometry

Cell and atoms, written as extended XYZ:
```
10
Lattice="0.000 5.074 5.074 5.074 0.000 5.074 5.074 5.074 0.000" Properties=species:S:1:pos:R:3 pbc="T T T"
Na 2.537 2.537 2.537
Na 7.612 7.612 7.612
Lu 0.000 0.000 0.000
Cu 5.074 5.074 5.074
Cl 5.074 5.074 2.564
Cl 5.074 2.564 5.074
Cl 7.585 5.074 5.074
Cl 2.564 5.074 5.074
Cl 5.074 7.585 5.074
Cl 5.074 5.074 7.585
```

Calculated values
Symmetry ... Fm-3m, No. 225
Calculated formation energy ... -19.3 eV per formula unit
Total moment ... 0.00 μB per atom

=====

Entry 3:
ThCo2Ni3 | PBE | optimized geometry

Cell and atoms, written as extended XYZ:
```
6
Lattice="2.415 -4.366 0.000 2.415 4.366 0.000 0.000 0.000 4.021" Properties=species:S:1:pos:R:3 pbc="T T T"
Th 0.000 0.000 0.000
Co 1.207 2.183 2.011
Co 1.207 -2.183 2.011
Ni 2.415 1.469 0.000
Ni 2.415 0.000 2.011
Ni 2.415 -1.469 0.000
```

Calculated values
Symmetry ... Cmmm, No. 65
Calculated formation energy ... -1.8 eV per formula unit
Total moment ... 0.50 μB per atom

=====

Entry 4:
Rb2CaH4 | PBE | optimized geometry

Cell and atoms, written as extended XYZ:
```
7
Lattice="-2.257 2.257 7.420 2.257 -2.257 7.420 2.257 2.257 -7.420" Properties=species:S:1:pos:R:3 pbc="T T T"
Rb 0.000 0.000 2.197
Rb 0.000 0.000 12.643
Ca 0.000 0.000 7.420
H 2.257 0.000 0.000
H 0.000 0.000 5.113
H 0.000 2.257 0.000
H 0.000 0.000 9.727
```

Calculated values
Symmetry ... I4/mmm, No. 139
Calculated formation energy ... -2.9 eV per formula unit

=====

Entry 5:
Sr3CaZr16P24O96 | PBE | optimized geometry

Cell and atoms, written as extended XYZ:
```
140
Lattice="4.467 2.579 30.988 -4.467 2.579 30.988 0.000 -5.158 30.988" Properties=species:S:1:pos:R:3 pbc="T T T"
Sr 0.000 0.000 0.000
Sr 0.000 0.000 23.240
Sr 0.000 0.000 69.724
Ca 0.000 0.000 46.482
Zr 0.000 0.000 3.478
Zr 0.000 0.000 8.353
Zr 0.000 0.000 14.886
Zr 0.000 0.000 19.751
Zr 0.000 0.000 26.719
Zr 0.000 0.000 31.594
Zr 0.000 0.000 38.130
Zr 0.000 0.000 43.024
Zr 0.000 0.000 49.940
Zr 0.000 0.000 54.834
Zr 0.000 0.000 61.370
Zr 0.000 0.000 66.245
Zr 0.000 0.000 73.213
Zr 0.000 0.000 78.077
Zr 0.000 0.000 84.610
Zr 0.000 0.000 89.486
P -1.232 -2.258 29.103
P -1.340 -2.962 36.850
P -1.889 -2.507 44.612
P -2.570 -0.063 40.624
P -3.116 0.383 48.352
P -3.235 -0.321 56.114
P -1.230 -2.258 52.340
P -1.340 2.196 29.103
P -1.896 2.641 36.850
P -2.571 -0.062 63.861
P 1.340 -2.194 40.624
P 1.227 -2.890 48.352
P -1.227 2.890 44.611
P -1.340 2.194 52.340
P 2.571 0.062 29.102
P 1.896 -2.641 56.114
P 1.340 -2.196 63.861
P 1.230 2.258 40.624
P 3.235 0.321 36.850
P 3.116 -0.383 44.611
P 2.570 0.063 52.340
P 1.889 2.507 48.352
P 1.340 2.962 56.114
P 1.232 2.258 63.861
O -1.731 -0.035 18.661
O -3.730 1.154 32.998
O -3.886 -0.941 48.230
O -1.132 -3.860 38.080
O -2.785 -2.252 45.832
O -0.866 -1.351 21.227
O -0.875 -3.679 35.563
O -3.909 -0.949 54.883
O -1.603 0.074 25.251
O -1.128 -3.836 44.733
O -0.843 -1.497 27.816
O -2.762 -2.256 52.482
O -1.704 -0.323 32.734
O -3.624 -1.082 57.401
O -3.335 1.264 40.482
O -2.864 -2.653 59.966
O -0.558 -1.630 30.333
O 0.896 -1.482 18.661
O 0.865 -3.807 32.998
O -1.691 -0.332 39.391
O -3.343 1.285 47.132
O -0.572 -1.637 36.989
O -0.736 1.426 21.227
O -2.749 2.597 35.563
O -1.713 -0.018 41.913
O 0.737 -1.425 25.251
O 0.572 -3.520 40.482
O -1.132 1.298 30.333
O -2.777 2.911 38.080
O -0.859 -1.331 44.531
O -0.875 1.479 27.816
O 0.558 -3.538 47.132
O -1.582 0.078 48.432
O -1.131 1.314 36.989
O -0.841 -1.493 51.051
O -2.758 2.895 44.733
O -1.704 -0.323 55.975
O 0.835 1.517 18.661
O 1.131 -1.314 32.734
O 1.603 -0.075 21.227
O -0.558 -1.630 53.572
O 0.872 -1.475 41.913
O 0.866 1.351 25.251
O -1.691 -0.332 62.631
O 1.132 -1.298 39.392
O -0.572 -1.637 60.230
O -0.724 1.409 44.531
O 1.718 0.018 27.815
O -1.718 -0.018 65.148
O 0.724 -1.409 48.432
O 0.572 1.637 32.734
O -1.132 1.298 53.572
O 1.691 0.332 30.333
O -0.866 -1.351 67.713
O -0.872 1.475 51.051
O 0.558 1.630 39.392
O -1.603 0.075 71.737
O -1.131 1.314 60.230
O -0.835 -1.517 74.303
O 1.704 0.323 36.989
O 2.758 -2.895 48.231
O 0.841 1.493 41.913
O 1.131 -1.314 55.975
O 1.582 -0.078 44.531
O -0.558 3.538 45.832
O 0.875 -1.479 65.148
O 0.859 1.331 48.432
O 2.777 -2.911 54.883
O 1.132 -1.298 62.631
O -0.572 3.520 52.482
O -0.737 1.425 67.713
O 1.713 0.018 51.051
O 2.749 -2.597 57.401
O 0.736 -1.426 71.737
O 0.572 1.637 55.975
O 3.343 -1.285 45.832
O 1.691 0.332 53.572
O -0.865 3.807 59.966
O -0.896 1.482 74.303
O 0.558 1.630 62.631
O 2.864 2.653 32.998
O 3.335 -1.264 52.482
O 3.624 1.082 35.563
O 1.704 0.323 60.230
O 2.762 2.256 40.482
O 0.843 1.497 65.148
O 1.128 3.836 48.230
O 1.603 -0.074 67.713
O 3.909 0.949 38.080
O 0.875 3.679 57.401
O 0.866 1.351 71.737
O 2.785 2.252 47.132
O 1.132 3.860 54.883
O 3.886 0.941 44.733
O 3.730 -1.154 59.966
O 1.731 0.035 74.303
```

Calculated values
Symmetry ... R-3, No. 148
Calculated formation energy ... -455.7 eV per formula unit
Total moment ... 0.00 μB per atom

=====

Entry 6:
NpTi3 | PBE | optimized geometry

Cell and atoms, written as extended XYZ:
```
4
Lattice="4.179 0.000 0.000 0.000 4.179 0.000 0.000 0.000 4.179" Properties=species:S:1:pos:R:3 pbc="T T T"
Np 0.000 0.000 0.000
Ti 0.000 2.089 2.089
Ti 2.089 0.000 2.089
Ti 2.089 2.089 0.000
```

Calculated values
Symmetry ... Pm-3m, No. 221
Calculated formation energy ... 0.9 eV per formula unit
Total moment ... 1.21 μB per atom

=====

Entry 7:
Ba3LaCl9 | PBE | optimized geometry

Cell and atoms, written as extended XYZ:
```
52
Lattice="12.521 0.000 0.000 0.000 7.349 0.000 0.000 0.000 18.520" Properties=species:S:1:pos:R:3 pbc="T T T"
Ba 0.623 1.837 1.743
Ba 2.359 1.837 9.774
Ba 2.921 5.511 6.023
Ba 3.340 1.837 15.283
Ba 3.902 5.511 0.514
Ba 5.637 5.511 11.002
Ba 6.884 1.837 7.517
Ba 8.619 1.837 18.006
Ba 9.182 5.511 3.237
Ba 9.600 1.837 12.497
Ba 10.163 5.511 8.746
Ba 11.898 5.511 16.777
La 0.416 5.511 12.525
La 5.844 1.837 3.265
La 6.677 5.511 15.255
La 12.105 1.837 5.995
Cl 0.790 3.761 7.680
Cl 0.790 7.262 7.680
Cl 0.990 0.083 14.333
Cl 0.990 3.591 14.333
Cl 1.736 3.680 17.789
Cl 1.736 7.343 17.789
Cl 2.011 1.837 4.680
Cl 2.212 5.511 2.971
Cl 2.469 5.511 10.694
Cl 3.792 1.837 1.434
Cl 4.049 1.837 12.231
Cl 4.249 5.511 13.940
Cl 4.525 0.006 8.530
Cl 4.525 3.669 8.530
Cl 5.271 3.757 5.073
Cl 5.271 7.266 5.073
Cl 5.471 0.087 16.940
Cl 5.471 3.587 16.940
Cl 7.051 3.761 1.580
Cl 7.051 7.262 1.580
Cl 7.250 0.083 13.447
Cl 7.250 3.591 13.447
Cl 7.997 3.680 9.990
Cl 7.997 7.343 9.990
Cl 8.272 1.837 4.580
Cl 8.473 5.511 6.289
Cl 8.730 5.511 17.085
Cl 10.052 1.837 7.826
Cl 10.309 1.837 15.549
Cl 10.510 5.511 13.840
Cl 10.785 0.006 0.730
Cl 10.785 3.669 0.730
Cl 11.532 3.757 4.187
Cl 11.532 7.266 4.187
Cl 11.731 0.087 10.840
Cl 11.731 3.587 10.840
```

Calculated values
Symmetry ... Pnma, No. 62
Calculated formation energy ... -37.1 eV per formula unit
Total moment ... 0.00 μB per atom

=====

Entry 8:
ZnSnP2O7 | PBE | optimized geometry

Cell and atoms, written as extended XYZ:
```
22
Lattice="6.697 0.000 0.000 2.711 6.298 0.000 1.230 0.074 6.926" Properties=species:S:1:pos:R:3 pbc="T T T"
Zn 1.965 2.210 2.165
Zn 8.673 4.162 4.761
Sn 5.039 5.634 5.857
Sn 5.599 0.739 1.070
P 4.226 4.911 2.663
P 4.158 2.167 6.055
P 6.480 4.205 0.871
P 6.411 1.461 4.263
O 2.977 4.012 2.954
O 3.865 6.294 2.091
O 3.536 3.558 5.883
O 3.422 1.117 5.243
O 3.173 1.744 0.623
O 5.213 4.969 3.827
O 4.975 4.084 1.479
O 5.663 2.289 5.447
O 5.424 1.403 3.099
O 7.464 4.629 6.303
O 7.215 5.256 1.683
O 7.102 2.814 1.043
O 6.772 0.079 4.835
O 7.661 2.360 3.972
```

Calculated values
Symmetry ... P-1, No. 2
Calculated formation energy ... -25.8 eV per formula unit
Total moment ... 0.00 μB per atom